# PBE-GGA Bi2O3, optimized geometry
data_Bi2O3
_cell_length_a 14.7335
_cell_length_b 14.7335
_cell_length_c 18.0212
_cell_angle_alpha 90.00
_cell_angle_beta 90.00
_cell_angle_gamma 120.00
_symmetry_space_group_name_H-M 'R 3'
_symmetry_Int_Tables_number 146
_symmetry_space_group_name_Hall 'R 3'
loop_
_atom_site_label
_atom_site_type_symbol
_atom_site_fract_x
_atom_site_fract_y
_atom_site_fract_z
Bi1 Bi 0.0000 0.0000 0.0016
Bi2 Bi 0.0000 0.0000 0.5152
Bi3 Bi 0.0165 0.1725 0.1642
Bi4 Bi 0.0170 0.1842 0.6667
Bi5 Bi 0.0563 0.2726 0.4613
Bi6 Bi 0.0568 0.2759 0.9562
Bi7 Bi 0.1003 0.7056 0.2209
Bi8 Bi 0.1044 0.7040 0.7189
Bi9 Bi 0.1542 0.1464 0.3324
Bi10 Bi 0.1582 0.1482 0.8319
O1 O 0.0000 0.0000 0.1283
O2 O 0.0000 0.0000 0.3114
O3 O 0.0000 0.0000 0.8149
O4 O 0.9996 0.3754 0.3686
O5 O 0.0042 0.6333 0.1281
O6 O 0.0037 0.6335 0.6278
O7 O 0.0426 0.3342 0.2045
O8 O 0.0453 0.8434 0.7112
O9 O 0.0457 0.8408 0.2130
O10 O 0.0863 0.5423 0.7291
O11 O 0.0870 0.5438 0.2310
O12 O 0.1468 0.0720 0.4597
O13 O 0.1674 0.0832 0.9584
O14 O 0.1685 0.4512 0.4601
O15 O 0.1702 0.4537 0.9621
# Total DFT energy (no corrections), eV/atom: -5.72